The following is a DFT calculation (GGA-PBE) of a relaxed Li8Sm7Ge10 crystal.

- spin magnetization (μB per formula unit) = 0.0
- energy of formation from the pure elements (eV/atom) = -0.69
- crystal system = orthorhombic

Structure (CIF):
```
data_Li8Sm7Ge10
_symmetry_space_group_name_H-M 'C m m m'
_symmetry_Int_Tables_number 65
_symmetry_space_group_name_Hall '-C 2 2'
_cell_length_a 6.797
_cell_length_b 33.281
_cell_length_c 4.420
_cell_angle_alpha 90.00
_cell_angle_beta 90.00
_cell_angle_gamma 90.00
loop_
_atom_site_label
_atom_site_fract_x
_atom_site_fract_y
_atom_site_fract_z
_atom_site_occupancy
Li1 0.189 0.143 0.000 1
Li2 0.191 0.425 0.500 1
Sm1 0.000 0.056 0.000 1
Sm2 0.000 0.221 0.500 1
Sm3 0.000 0.338 0.500 1
Sm4 0.000 0.500 0.000 1
Ge1 0.000 0.126 0.500 1
Ge2 0.000 0.406 0.000 1
Ge3 0.186 0.285 0.000 1
Ge4 0.188 0.000 0.500 1
```